Entry 1:
VASP calculation (PBE-GGA) on crystalline BeGeP2 at its relaxed geometry.

CIF file:
```
data_BeGeP2
_cell_length_a 5.226
_cell_length_b 5.226
_cell_length_c 10.426
_cell_angle_alpha 90.00
_cell_angle_beta 90.00
_cell_angle_gamma 90.00
_symmetry_space_group_name_H-M 'I -4 2 d'
_symmetry_Int_Tables_number 122
_symmetry_space_group_name_Hall 'I -4 2bw'
loop_
_atom_site_label
_atom_site_type_symbol
_atom_site_fract_x
_atom_site_fract_y
_atom_site_fract_z
Be1 Be 0.000 0.000 0.000
Ge1 Ge 0.000 0.000 0.500
P1 P 0.222 0.750 0.125
```

## Properties
For the piezoelectric modulus e_max, the calculation gives 0.1 C/m². The final energy is -5.066 eV per atom.

Entry 2:
VASP calculation (PBE-GGA) on crystalline Rb3Zr6BeCl15 at its relaxed geometry.

CIF file:
```
data_Rb3Zr6BeCl15
_cell_length_a 16.809
_cell_length_b 11.683
_cell_length_c 14.379
_cell_angle_alpha 90.00
_cell_angle_beta 93.00
_cell_angle_gamma 90.00
_symmetry_space_group_name_H-M 'C 1 2/c 1'
_symmetry_Int_Tables_number 15
_symmetry_space_group_name_Hall '-C 2yc'
loop_
_atom_site_label
_atom_site_type_symbol
_atom_site_fract_x
_atom_site_fract_y
_atom_site_fract_z
Rb1 Rb 0.000 0.061 0.250
Rb2 Rb 0.114 0.244 0.566
Zr1 Zr 0.136 0.137 0.999
Zr2 Zr 0.189 0.385 0.097
Zr3 Zr 0.198 0.348 0.866
Be1 Be 0.250 0.250 0.000
Cl1 Cl 0.000 0.000 0.000
Cl2 Cl 0.054 0.273 0.101
Cl3 Cl 0.068 0.224 0.849
Cl4 Cl 0.126 0.496 0.459
Cl5 Cl 0.127 0.456 0.712
Cl6 Cl 0.177 0.020 0.145
Cl7 Cl 0.190 0.027 0.399
Cl8 Cl 0.235 0.283 0.250
```

## Properties
As for the spin magnetization: 0.00 μB/f.u. The final energy is -5.150 eV per atom.